First-principles (PBE) data for a relaxed AgHgAsO4 crystal, as listed in Materials Project.

- Energy of formation from the pure elements: -1135 meV per atom
- Final energy: -4.68 eV/atom
- Total moment: 0.0 Bohr magnetons per cell
- Total energy after the MP2020 corrections: -71.07 eV/cell

Lattice parameters (Å, degrees): 8.2600 6.9196 6.3495 76.86 54.67 48.47
Element x y z (fractional)
Hg  0.0607  0.4393  0.0607
As  0.1290  0.8710  0.1290
O  0.5575  0.7912  0.3874
O  0.0895  0.7491  0.9641
O  0.0528  0.2859  0.5009
O  0.4588  0.6925  0.9860
O  0.3874  0.2640  0.5575
Hg  0.8107  0.1893  0.8107
O  0.5009  0.1605  0.0528
O  0.9860  0.8626  0.4588
O  0.9641  0.1972  0.0895
Ag  0.6868  0.8132  0.6868
As  0.3790  0.1210  0.3790
Ag  0.4368  0.5632  0.4368